10
Lattice="3.5871 3.5871 4.8231 3.5871 -3.5871 -4.8231 -3.5871 3.5871 -4.8231" Properties=species:S:1:pos:R:3 comment="Rb3YF6 (PBE, optimized geometry)" ef_mev_per_atom=-3486 pbc="T T T"
F 2.1800 0.0000 0.0000
F 0.0000 2.1800 0.0000
F 0.0000 0.0000 -7.4239
F 0.0000 4.9942 0.0000
F 0.0000 0.0000 -2.2223
F 4.9942 0.0000 0.0000
Y 0.0000 0.0000 0.0000
Rb 3.5871 0.0000 -2.4115
Rb 0.0000 3.5871 -2.4115
Rb 0.0000 0.0000 -4.8231